Na3TiGaSiP2O12: relaxed, PBE.

Energy with MP2020 corrections = -584.41 eV per cell
Formation enthalpy at 0 K = -64.1 kcal/mol of atoms
Final energy = -6.893 eV per atom

Structure (POSCAR):
```
Na3TiGaSiP2O12
1.0
-14.9673 -2.9306 -1.1493
1.7652 -8.5971 -1.0663
4.5837 0.0023 7.5693
Na Ti Ga Si P O
12 4 4 4 8 48
direct
0.2515 0.7283 0.9958 Na
0.7515 0.7717 0.4958 Na
0.7515 0.2283 0.9958 Na
0.2515 0.2717 0.4958 Na
0.5019 0.1085 0.7534 Na
0.5019 0.8915 0.2534 Na
0.0019 0.6085 0.7534 Na
0.0019 0.3915 0.2534 Na
0.1896 0.9337 0.2855 Na
0.1896 0.0663 0.7855 Na
0.6896 0.4337 0.2855 Na
0.6896 0.5663 0.7855 Na
0.8960 0.7577 0.9377 Ti
0.8960 0.2423 0.4377 Ti
0.3960 0.2577 0.9377 Ti
0.3960 0.7423 0.4377 Ti
0.1046 0.7414 0.5604 Ga
0.1046 0.2586 0.0604 Ga
0.6046 0.2414 0.5604 Ga
0.6046 0.7586 0.0604 Ga
0.6449 0.8975 0.7458 Si
0.6449 0.1025 0.2458 Si
0.1449 0.3975 0.7458 Si
0.1449 0.6025 0.2458 Si
0.0005 0.9610 0.7562 P
0.0005 0.0390 0.2562 P
0.5005 0.4610 0.7562 P
0.5005 0.5390 0.2562 P
0.3529 0.8916 0.7559 P
0.3529 0.1084 0.2559 P
0.8529 0.3916 0.7559 P
0.8529 0.6084 0.2559 P
0.1480 0.5806 0.7373 O
0.8485 0.5691 0.7585 O
0.8485 0.4309 0.2585 O
0.1480 0.4194 0.2373 O
0.6480 0.0806 0.7373 O
0.3485 0.0691 0.7585 O
0.3485 0.9309 0.2585 O
0.6480 0.9194 0.2373 O
0.4366 0.5675 0.5855 O
0.5680 0.5551 0.9328 O
0.5680 0.4449 0.4328 O
0.4366 0.4325 0.0855 O
0.9366 0.0675 0.5855 O
0.0680 0.0551 0.9328 O
0.0680 0.9449 0.4328 O
0.9366 0.9325 0.0855 O
0.2534 0.8350 0.7422 O
0.7458 0.8126 0.7615 O
0.7458 0.1874 0.2615 O
0.2534 0.1650 0.2422 O
0.7534 0.3350 0.7422 O
0.2458 0.3126 0.7615 O
0.2458 0.6874 0.2615 O
0.7534 0.6650 0.2422 O
0.3536 0.8545 0.5836 O
0.6408 0.8554 0.9189 O
0.6408 0.1446 0.4189 O
0.3536 0.1455 0.0836 O
0.8536 0.3545 0.5836 O
0.1408 0.3554 0.9189 O
0.1408 0.6446 0.4189 O
0.8536 0.6455 0.0836 O
0.4529 0.8301 0.9338 O
0.5340 0.8270 0.5585 O
0.5340 0.1730 0.0585 O
0.4529 0.1699 0.4338 O
0.9529 0.3301 0.9338 O
0.0340 0.3270 0.5585 O
0.0340 0.6730 0.0585 O
0.9529 0.6699 0.4338 O
0.0780 0.8600 0.7419 O
0.9186 0.8565 0.7550 O
0.9186 0.1435 0.2550 O
0.0780 0.1400 0.2419 O
0.5780 0.3600 0.7419 O
0.4186 0.3565 0.7550 O
0.4186 0.6435 0.2550 O
0.5780 0.6400 0.2419 O
```

Li31Zr2P13: relaxed, PBE.

Symmetry = Cm, No. 8
Formation enthalpy at 0 K = -13.9 kcal/mol of atoms
Crystal system = monoclinic
Final energy = -3.790 eV per atom

Structure (POSCAR):
```
Li31Zr2P13
1.0
3.6215 -2.0926 0.0000
3.6215 2.0926 0.0000
-2.4528 0.0000 45.2691
Li Zr P
31 2 13
direct
0.0000 0.0000 0.0000 Li
0.0192 0.0192 0.0581 Li
0.0373 0.0373 0.1123 Li
0.0776 0.0776 0.2320 Li
0.1145 0.1145 0.3436 Li
0.1524 0.1524 0.4581 Li
0.1892 0.1892 0.5697 Li
0.2296 0.2296 0.6895 Li
0.2479 0.2479 0.7440 Li
0.2675 0.2675 0.8026 Li
0.3072 0.3072 0.9221 Li
0.3438 0.3438 0.0319 Li
0.3835 0.3835 0.1511 Li
0.4036 0.4036 0.2116 Li
0.4226 0.4226 0.2689 Li
0.4599 0.4599 0.3810 Li
0.4996 0.4996 0.4990 Li
0.5376 0.5376 0.6132 Li
0.5559 0.5559 0.6679 Li
0.5756 0.5756 0.7271 Li
0.6143 0.6143 0.8434 Li
0.6914 0.6914 0.0747 Li
0.7109 0.7109 0.1334 Li
0.7294 0.7294 0.1886 Li
0.7674 0.7674 0.3031 Li
0.8070 0.8070 0.4208 Li
0.8444 0.8444 0.5330 Li
0.8632 0.8632 0.5900 Li
0.8834 0.8834 0.6506 Li
0.9215 0.9215 0.7648 Li
0.9392 0.9392 0.8181 Li
0.6532 0.6532 0.9610 Zr
0.9614 0.9614 0.8849 Zr
0.0557 0.0557 0.1677 P
0.1334 0.1334 0.4009 P
0.2114 0.2114 0.6344 P
0.2874 0.2874 0.8620 P
0.3635 0.3635 0.0909 P
0.4418 0.4418 0.3247 P
0.5190 0.5190 0.5582 P
0.5956 0.5956 0.7867 P
0.6723 0.6723 0.0176 P
0.7480 0.7480 0.2437 P
0.8252 0.8252 0.4772 P
0.9033 0.9033 0.7105 P
0.9805 0.9805 0.9417 P
```

YMg6BO8: relaxed, PBE.

Symmetry = P4/mmm, No. 123
Energy with MP2020 corrections = -103.94 eV per cell
Energy above the most stable polymorph in this dataset = 0 meV per atom
Formation enthalpy at 0 K = -60.0 kcal/mol of atoms
Crystal system = tetragonal
Final energy = -6.153 eV per atom

Structure (POSCAR):
```
YMg6BO8
1.0
4.3777 0.0000 0.0000
0.0000 4.3777 0.0000
0.0000 0.0000 8.8969
Y Mg B O
1 6 1 8
direct
0.0000 0.0000 0.0000 Y
0.0000 0.0000 0.5000 Mg
0.0000 0.5000 0.2617 Mg
0.0000 0.5000 0.7383 Mg
0.5000 0.0000 0.2617 Mg
0.5000 0.0000 0.7383 Mg
0.5000 0.5000 0.5000 Mg
0.5000 0.5000 0.0000 B
0.0000 0.0000 0.2600 O
0.0000 0.0000 0.7400 O
0.0000 0.5000 0.0000 O
0.0000 0.5000 0.5000 O
0.5000 0.0000 0.0000 O
0.5000 0.0000 0.5000 O
0.5000 0.5000 0.2709 O
0.5000 0.5000 0.7291 O
```

AlP2H12N3O8: relaxed, PBE.

Symmetry = P2_1/c, No. 14
Energy with MP2020 corrections = -638.63 eV per cell
Formation enthalpy at 0 K = -35.3 kcal/mol of atoms
Crystal system = monoclinic
Final energy = -5.929 eV per atom

Structure (POSCAR):
```
AlP2H12N3O8
1.0
9.1314 0.0000 0.0000
0.0000 10.1445 0.0000
-9.0229 0.0000 11.1582
Al P H N O
4 8 48 12 32
direct
0.0162 0.0758 0.1507 Al
0.0162 0.4242 0.6507 Al
0.9838 0.5758 0.3493 Al
0.9838 0.9242 0.8493 Al
0.1095 0.6394 0.8441 P
0.1095 0.8606 0.3441 P
0.2864 0.0545 0.0911 P
0.2864 0.4455 0.5911 P
0.7136 0.5545 0.4089 P
0.7136 0.9455 0.9089 P
0.8905 0.1394 0.6559 P
0.8905 0.3606 0.1559 P
0.0227 0.7372 0.0972 H
0.0227 0.7628 0.5972 H
0.0418 0.5719 0.1177 H
0.0418 0.9281 0.6177 H
0.1290 0.6433 0.0569 H
0.1290 0.8567 0.5569 H
0.2387 0.6665 0.2069 H
0.2387 0.8335 0.7069 H
0.3171 0.0183 0.5500 H
0.3171 0.4817 0.0500 H
0.3286 0.1628 0.9367 H
0.3286 0.3372 0.4367 H
0.3332 0.2415 0.8375 H
0.3332 0.2585 0.3375 H
0.3420 0.1776 0.5918 H
0.3420 0.3224 0.0918 H
0.4475 0.0963 0.8880 H
0.4475 0.4037 0.3880 H
0.4489 0.0515 0.6989 H
0.4489 0.4485 0.1989 H
0.4663 0.7322 0.5156 H
0.4663 0.7678 0.0156 H
0.4688 0.5988 0.8761 H
0.4688 0.9012 0.3761 H
0.5312 0.0988 0.6239 H
0.5312 0.4012 0.1239 H
0.5337 0.2322 0.9844 H
0.5337 0.2678 0.4844 H
0.5511 0.5515 0.8011 H
0.5511 0.9485 0.3011 H
0.5525 0.5963 0.6120 H
0.5525 0.9037 0.1120 H
0.6580 0.6776 0.9082 H
0.6580 0.8224 0.4082 H
0.6668 0.7415 0.6625 H
0.6668 0.7585 0.1625 H
0.6714 0.6627 0.5633 H
0.6714 0.8372 0.0633 H
0.6829 0.5183 0.9500 H
0.6829 0.9817 0.4500 H
0.7613 0.1665 0.2931 H
0.7613 0.3335 0.7931 H
0.8710 0.1433 0.4431 H
0.8710 0.3567 0.9431 H
0.9582 0.0719 0.3823 H
0.9582 0.4281 0.8823 H
0.9773 0.2372 0.4028 H
0.9773 0.2628 0.9028 H
0.1115 0.6572 0.1223 N
0.1115 0.8428 0.6223 N
0.4114 0.0857 0.6175 N
0.4114 0.4143 0.1175 N
0.4123 0.1822 0.9119 N
0.4123 0.3178 0.4119 N
0.5877 0.6822 0.5881 N
0.5877 0.8178 0.0881 N
0.5886 0.5857 0.8825 N
0.5886 0.9143 0.3825 N
0.8885 0.1572 0.3777 N
0.8885 0.3428 0.8777 N
0.0054 0.5450 0.7331 O
0.0054 0.9550 0.2331 O
0.0181 0.2333 0.2033 O
0.0181 0.2667 0.7033 O
0.1090 0.5723 0.9404 O
0.1090 0.9277 0.4404 O
0.1776 0.5653 0.5027 O
0.1776 0.9347 0.0027 O
0.2252 0.1814 0.0168 O
0.2252 0.3186 0.5168 O
0.2296 0.0600 0.1743 O
0.2296 0.4400 0.6743 O
0.3063 0.6741 0.8884 O
0.3063 0.8259 0.3884 O
0.4981 0.0263 0.1703 O
0.4981 0.4737 0.6703 O
0.5019 0.5263 0.3297 O
0.5019 0.9737 0.8297 O
0.6937 0.1741 0.6116 O
0.6937 0.3259 0.1116 O
0.7704 0.5600 0.3257 O
0.7704 0.9400 0.8257 O
0.7748 0.6814 0.4832 O
0.7748 0.8186 0.9832 O
0.8224 0.0653 0.9973 O
0.8224 0.4347 0.4973 O
0.8910 0.0723 0.5596 O
0.8910 0.4277 0.0596 O
0.9819 0.7333 0.2967 O
0.9819 0.7667 0.7967 O
0.9946 0.0450 0.7669 O
0.9946 0.4550 0.2669 O
```

LiMg14BO15: relaxed, PBE.

Symmetry = Pmm2, No. 25
Energy with MP2020 corrections = -191.11 eV per cell
Energy above the most stable polymorph in this dataset = 1 meV per atom
Formation enthalpy at 0 K = -63.9 kcal/mol of atoms
Crystal system = orthorhombic
Final energy = -5.832 eV per atom

Structure (POSCAR):
```
LiMg14BO15
1.0
4.2672 0.0000 0.0000
0.0000 8.2953 0.0000
0.0000 0.0000 8.5868
Li Mg B O
1 14 1 15
direct
0.0000 0.0000 0.0000 Li
0.0000 0.0000 0.4975 Mg
0.0000 0.2463 0.7503 Mg
0.0000 0.2581 0.2481 Mg
0.0000 0.5000 0.4970 Mg
0.0000 0.7419 0.2481 Mg
0.0000 0.7537 0.7503 Mg
0.5000 0.0000 0.2399 Mg
0.5000 0.0000 0.7569 Mg
0.5000 0.2495 0.5000 Mg
0.5000 0.2585 0.9976 Mg
0.5000 0.5000 0.2381 Mg
0.5000 0.5000 0.7541 Mg
0.5000 0.7415 0.9976 Mg
0.5000 0.7505 0.5000 Mg
0.0000 0.5000 0.9363 B
0.0000 0.0000 0.2462 O
0.0000 0.0000 0.7535 O
0.0000 0.2507 0.5059 O
0.0000 0.3270 0.9901 O
0.0000 0.5000 0.2701 O
0.0000 0.6730 0.9901 O
0.0000 0.7493 0.5059 O
0.5000 0.0000 0.4989 O
0.5000 0.0000 0.9982 O
0.5000 0.2507 0.7517 O
0.5000 0.2516 0.2446 O
0.5000 0.5000 0.5119 O
0.5000 0.5000 0.9888 O
0.5000 0.7484 0.2446 O
0.5000 0.7493 0.7517 O
```